Record 1
Density functional theory data (PBE-GGA) for a relaxed PRu5C16O15F3 crystal.

abc: 21.4953 10.1918 11.9809
angles: 87.25 90.00 90.00
Fractional positions:
P1 0.6099 0.8886 0.2459
P2 0.1099 0.6114 0.2541
P3 0.8901 0.3886 0.7459
P4 0.3901 0.1114 0.7541
Ru1 0.4707 0.2393 0.6701
Ru2 0.9707 0.2607 0.8299
Ru3 0.1592 0.7002 0.0889
Ru4 0.3408 0.2002 0.5889
Ru5 0.9213 0.2602 0.5943
Ru6 0.1276 0.9133 0.2324
Ru7 0.3724 0.4133 0.7324
Ru8 0.6276 0.5867 0.2676
Ru9 0.4213 0.2398 0.9057
Ru10 0.8724 0.0867 0.7676
Ru11 0.0787 0.7398 0.4057
Ru12 0.2946 0.1945 0.8201
Ru13 0.5787 0.7602 0.0943
Ru14 0.6592 0.7998 0.4111
Ru15 0.7946 0.3055 0.6799
Ru16 0.0293 0.7393 0.1701
Ru17 0.7054 0.8055 0.1799
Ru18 0.5293 0.7607 0.3299
Ru19 0.2054 0.6945 0.3201
Ru20 0.8408 0.2998 0.9111
C1 0.7496 0.4631 0.6989
C2 0.5045 0.2829 0.9406
C3 0.2774 0.8042 0.2957
C4 0.3640 0.4998 0.5897
C5 0.5759 0.9024 0.9852
C6 0.9786 0.1798 0.9747
C7 0.5944 0.0746 0.2344
C8 0.8640 0.0002 0.9103
C9 0.5215 0.0928 0.6366
C10 0.0944 0.4254 0.2656
C11 0.6148 0.6332 0.0002
C12 0.3144 0.0319 0.5499
C13 0.0214 0.8202 0.0253
C14 0.4785 0.9072 0.3634
C15 0.0606 0.0172 0.2811
C16 0.7226 0.1958 0.7043
C17 0.9955 0.7829 0.4406
C18 0.0413 0.1640 0.7835
C19 0.8852 0.1332 0.5002
C20 0.9394 0.9828 0.7189
C21 0.8114 0.9806 0.7008
C22 0.2839 0.1795 0.9773
C23 0.2504 0.5369 0.3011
C24 0.2619 0.2823 0.5631
C25 0.0045 0.2171 0.5594
C26 0.4786 0.3202 0.5253
C27 0.3114 0.5194 0.7992
C28 0.7774 0.6958 0.2043
C29 0.6856 0.9681 0.4501
C30 0.5413 0.3360 0.7165
C31 0.8666 0.2658 0.0631
C32 0.6334 0.7658 0.5631
C33 0.9785 0.5928 0.1366
C34 0.0759 0.5976 0.5148
C35 0.4056 0.9254 0.7656
C36 0.7381 0.7177 0.4369
C37 0.4394 0.5172 0.7811
C38 0.1886 0.0194 0.2992
C39 0.2496 0.0369 0.8011
C40 0.1334 0.7342 0.9369
C41 0.1856 0.5319 0.0499
C42 0.6360 0.5002 0.4103
C43 0.6886 0.4806 0.2008
C44 0.5606 0.4828 0.2189
C45 0.7839 0.3205 0.5227
C46 0.9241 0.4024 0.4852
C47 0.4587 0.6640 0.2835
C48 0.8144 0.4681 0.9501
C49 0.9056 0.5746 0.7344
C50 0.3666 0.2342 0.4369
C51 0.1360 0.9998 0.0897
C52 0.4241 0.0976 0.0148
C53 0.3852 0.3668 0.9998
C54 0.2381 0.7823 0.0631
C55 0.5214 0.6798 0.4747
C56 0.7504 0.9631 0.1989
C57 0.0215 0.4072 0.8634
C58 0.4955 0.7171 0.0594
C59 0.2226 0.3042 0.7957
C60 0.7619 0.2177 0.9369
C61 0.9587 0.8360 0.2165
C62 0.2161 0.6795 0.4773
C63 0.7161 0.8205 0.0227
C64 0.1148 0.8668 0.4998
O1 0.9232 0.4873 0.4175
O2 0.1350 0.9406 0.5607
O3 0.5545 0.3082 0.9687
O4 0.8612 0.9364 0.9936
O5 0.9455 0.8082 0.4687
O6 0.2779 0.5945 0.8380
O7 0.1772 0.3641 0.7828
O8 0.7966 0.5711 0.9719
O9 0.4467 0.9928 0.3881
O10 0.4455 0.6918 0.0313
O11 0.6350 0.5594 0.9393
O12 0.2966 0.9289 0.5281
O13 0.7779 0.0586 0.2123
O14 0.9895 0.1290 0.0611
O15 0.2779 0.4414 0.2877
O16 0.1225 0.7492 0.8428
O17 0.3775 0.2492 0.3428
O18 0.8775 0.2508 0.1572
O19 0.3228 0.8641 0.2828
O20 0.0533 0.4928 0.8881
O21 0.7221 0.4055 0.1620
O22 0.9141 0.8941 0.2362
O23 0.4232 0.0127 0.0825
O24 0.0545 0.1918 0.5313
O25 0.4895 0.3710 0.4389
O26 0.9781 0.9117 0.6912
O27 0.0768 0.5127 0.5825
O28 0.7854 0.6701 0.4612
O29 0.7741 0.3353 0.4276
O30 0.1388 0.0636 0.0064
O31 0.2034 0.4289 0.0281
O32 0.2259 0.6647 0.5724
O33 0.5768 0.9873 0.9175
O34 0.2741 0.1647 0.0724
O35 0.5859 0.3941 0.7362
O36 0.6772 0.1359 0.7172
O37 0.3650 0.4406 0.0607
O38 0.0105 0.8710 0.9389
O39 0.2221 0.0945 0.3380
O40 0.5105 0.6290 0.5611
O41 0.8650 0.0594 0.4393
O42 0.7221 0.5586 0.7123
O43 0.7779 0.9055 0.6620
O44 0.7259 0.8353 0.9276
O45 0.8228 0.6359 0.2172
O46 0.2146 0.3299 0.5388
O47 0.2221 0.9414 0.7877
O48 0.7034 0.0711 0.4719
O49 0.6225 0.7508 0.6572
O50 0.7146 0.1701 0.9612
O51 0.6388 0.4364 0.4936
O52 0.0219 0.0883 0.3088
O53 0.2854 0.8299 0.0388
O54 0.5219 0.4117 0.1912
O55 0.5533 0.0072 0.6119
O56 0.0859 0.1059 0.7638
O57 0.9467 0.5072 0.1119
O58 0.3612 0.5636 0.5064
O59 0.4781 0.5883 0.8088
O60 0.4141 0.6059 0.2638
F1 0.9569 0.6028 0.6705
F2 0.5431 0.1028 0.1705
F3 0.4569 0.8972 0.8295
F4 0.8571 0.6431 0.6873
F5 0.3571 0.8569 0.8127
F6 0.0431 0.3972 0.3295
F7 0.6429 0.1431 0.1873
F8 0.5835 0.1251 0.3364
F9 0.4165 0.8749 0.6636
F10 0.0835 0.3749 0.1636
F11 0.1429 0.3569 0.3127
F12 0.9165 0.6251 0.8364

Summary:
E (MP2020)	-8.0097	eV/atom
uncorrected energy	-7.7174	eV/atom
volume	16.39	Å³/atom

=====

Record 2
Density functional theory data (PBE-GGA) for a relaxed Pb2CO3F2 crystal.

abc: 7.0014 8.1746 8.3898
angles: 90.00 90.00 90.00
Fractional positions:
Pb1 0.5533 0.3166 0.3412
Pb2 0.4467 0.8166 0.1588
Pb3 0.0533 0.3166 0.6588
Pb4 0.4467 0.6834 0.6588
Pb5 0.0533 0.1834 0.1588
Pb6 0.9467 0.8166 0.8412
Pb7 0.5533 0.1834 0.8412
Pb8 0.9467 0.6834 0.3412
C1 0.2500 0.5000 0.0196
C2 0.2500 0.0000 0.5196
C3 0.7500 0.0000 0.4804
C4 0.7500 0.5000 0.9804
O1 0.7500 0.0000 0.3254
O2 0.2500 0.5000 0.1746
O3 0.8058 0.6299 0.0576
O4 0.3058 0.8701 0.4424
O5 0.6942 0.1299 0.5576
O6 0.7500 0.5000 0.8254
O7 0.1942 0.3701 0.9424
O8 0.6942 0.3701 0.0576
O9 0.8058 0.8701 0.5576
O10 0.2500 0.0000 0.6746
O11 0.3058 0.6299 0.9424
O12 0.1942 0.1299 0.4424
F1 0.1010 0.8872 0.1134
F2 0.6010 0.8872 0.8866
F3 0.8990 0.1128 0.8866
F4 0.3990 0.3872 0.6134
F5 0.6010 0.6128 0.3866
F6 0.8990 0.3872 0.3866
F7 0.1010 0.6128 0.6134
F8 0.3990 0.1128 0.1134

Summary:
E (MP2020)	-6.5495	eV/atom
uncorrected energy	-6.1763	eV/atom
volume	15.01	Å³/atom

=====

Record 3
Density functional theory data (PBE-GGA) for a relaxed Sb4PtC4O4F22 crystal.

abc: 10.0131 13.0518 18.2891
angles: 76.48 90.00 90.00
Fractional positions:
Sb1 0.2541 0.9472 0.3312
Sb2 0.2587 0.0681 0.5151
Sb3 0.7541 0.0528 0.1688
Sb4 0.7454 0.6216 0.8674
Sb5 0.7587 0.9319 0.9849
Sb6 0.7408 0.5106 0.1764
Sb7 0.7592 0.5106 0.6764
Sb8 0.7413 0.9319 0.4849
Sb9 0.2546 0.3784 0.1326
Sb10 0.2413 0.0681 0.0151
Sb11 0.2454 0.3784 0.6326
Sb12 0.2459 0.9472 0.8312
Sb13 0.2408 0.4894 0.3236
Sb14 0.7459 0.0528 0.6688
Sb15 0.2592 0.4894 0.8236
Sb16 0.7546 0.6216 0.3674
Pt1 0.7414 0.2716 0.4103
Pt2 0.2414 0.7284 0.0897
Pt3 0.7586 0.2716 0.9103
Pt4 0.2586 0.7284 0.5897
C1 0.4084 0.7648 0.6500
C2 0.3880 0.6799 0.5230
C3 0.6225 0.2248 0.8461
C4 0.3864 0.6957 0.0251
C5 0.1225 0.7752 0.6539
C6 0.6120 0.3201 0.4770
C7 0.1136 0.6957 0.5251
C8 0.8775 0.2248 0.3461
C9 0.5916 0.2352 0.3500
C10 0.8880 0.3201 0.9770
C11 0.3775 0.7752 0.1539
C12 0.0916 0.7648 0.1500
C13 0.9084 0.2352 0.8500
C14 0.8864 0.3043 0.4749
C15 0.6136 0.3043 0.9749
C16 0.1120 0.6799 0.0230
O1 0.0336 0.6793 0.4855
O2 0.9967 0.2133 0.8181
O3 0.0409 0.8022 0.6880
O4 0.5336 0.3207 0.0145
O5 0.4664 0.6793 0.9855
O6 0.5431 0.3480 0.5175
O7 0.9569 0.3480 0.0175
O8 0.5033 0.2133 0.3181
O9 0.0431 0.6520 0.9825
O10 0.4591 0.8022 0.1880
O11 0.4967 0.7867 0.6819
O12 0.4569 0.6520 0.4825
O13 0.0033 0.7867 0.1819
O14 0.9664 0.3207 0.5145
O15 0.9591 0.1978 0.3120
O16 0.5409 0.1978 0.8120
F1 0.8793 0.5135 0.8895
F2 0.3667 0.9538 0.0346
F3 0.6207 0.5135 0.3895
F4 0.3973 0.2851 0.1677
F5 0.7329 0.1812 0.5912
F6 0.3778 0.3968 0.3715
F7 0.4412 0.9416 0.3179
F8 0.1222 0.3968 0.8715
F9 0.8973 0.7149 0.3323
F10 0.1027 0.2851 0.6677
F11 0.2514 0.3532 0.5348
F12 0.1207 0.4865 0.1105
F13 0.7486 0.6468 0.4652
F14 0.5588 0.0584 0.6821
F15 0.2619 0.4096 0.2391
F16 0.9269 0.0449 0.6404
F17 0.7381 0.5904 0.7609
F18 0.2826 0.8740 0.7545
F19 0.0731 0.9551 0.3596
F20 0.8887 0.0341 0.9384
F21 0.1097 0.5738 0.2613
F22 0.6097 0.4262 0.2387
F23 0.2793 0.1113 0.1041
F24 0.3793 0.4865 0.6105
F25 0.3887 0.9659 0.5616
F26 0.6222 0.6032 0.6285
F27 0.8790 0.7206 0.8267
F28 0.7207 0.8887 0.8959
F29 0.8030 0.9790 0.0822
F30 0.7793 0.8887 0.3959
F31 0.3806 0.4917 0.1037
F32 0.3975 0.1683 0.4824
F33 0.3695 0.1587 0.9561
F34 0.8778 0.6032 0.1285
F35 0.1305 0.1587 0.4561
F36 0.1113 0.9659 0.0616
F37 0.2457 0.0850 0.2698
F38 0.2381 0.4096 0.7391
F39 0.1292 0.5852 0.7699
F40 0.2744 0.5603 0.9028
F41 0.6970 0.9790 0.5822
F42 0.7619 0.5904 0.2609
F43 0.1970 0.0210 0.9178
F44 0.1210 0.2794 0.1733
F45 0.7256 0.4397 0.0972
F46 0.6025 0.8317 0.5176
F47 0.7457 0.9150 0.2302
F48 0.0588 0.9416 0.8179
F49 0.4269 0.9551 0.8596
F50 0.8667 0.0462 0.4654
F51 0.1194 0.4917 0.6037
F52 0.8911 0.6139 0.6377
F53 0.8695 0.8413 0.5439
F54 0.9412 0.0584 0.1821
F55 0.1089 0.3861 0.3623
F56 0.2486 0.3532 0.0348
F57 0.6113 0.0341 0.4384
F58 0.1025 0.1683 0.9824
F59 0.7744 0.4397 0.5972
F60 0.3911 0.3861 0.8623
F61 0.3030 0.0210 0.4178
F62 0.8708 0.4148 0.2301
F63 0.2207 0.1113 0.6041
F64 0.6089 0.6139 0.1377
F65 0.7174 0.1260 0.2455
F66 0.6194 0.5083 0.8963
F67 0.7514 0.6468 0.9652
F68 0.3903 0.5738 0.7613
F69 0.8903 0.4262 0.7387
F70 0.7671 0.1812 0.0912
F71 0.6292 0.4148 0.7301
F72 0.6333 0.0462 0.9654
F73 0.2543 0.0850 0.7698
F74 0.1333 0.9538 0.5346
F75 0.5731 0.0449 0.1404
F76 0.2329 0.8188 0.9088
F77 0.6305 0.8413 0.0439
F78 0.6210 0.7206 0.3267
F79 0.3790 0.2794 0.6733
F80 0.2671 0.8188 0.4088
F81 0.2174 0.8740 0.2545
F82 0.8806 0.5083 0.3963
F83 0.7826 0.1260 0.7455
F84 0.7543 0.9150 0.7302
F85 0.2256 0.5603 0.4028
F86 0.3708 0.5852 0.2699
F87 0.8975 0.8317 0.0176
F88 0.6027 0.7149 0.8323

Summary:
E (MP2020)	-5.6665	eV/atom
uncorrected energy	-5.2976	eV/atom
volume	16.60	Å³/atom

=====

Record 4
Density functional theory data (PBE-GGA) for a relaxed Rb3CO3F crystal.

abc: 7.3918 7.3918 7.3918
angles: 65.42 65.42 65.42
Fractional positions:
Rb1 0.3292 0.7500 0.1708
Rb2 0.1708 0.3292 0.7500
Rb3 0.7500 0.1708 0.3292
Rb4 0.6708 0.2500 0.8292
Rb5 0.8292 0.6708 0.2500
Rb6 0.2500 0.8292 0.6708
C1 0.2500 0.2500 0.2500
C2 0.7500 0.7500 0.7500
O1 0.9140 0.7500 0.5860
O2 0.5860 0.9140 0.7500
O3 0.7500 0.5860 0.9140
O4 0.0860 0.2500 0.4140
O5 0.2500 0.4140 0.0860
O6 0.4140 0.0860 0.2500
F1 0.0000 0.0000 0.0000
F2 0.5000 0.5000 0.5000

Summary:
E (MP2020)	-5.8885	eV/atom
uncorrected energy	-5.5731	eV/atom
volume	19.95	Å³/atom